# 1
Li5Fe8B8O24 | GGA+U | optimized geometry

volume: 10.75 A^3/atom
E: -0.519 Ry/atom
formation energy from the elements: -221 kJ per mole of atoms
energy relative to the lowest polymorph listed for this composition: 0.0 meV/atom
magnetization: 35.000 μB per formula unit

Lattice parameters (Å, degrees): 5.256 5.258 20.204 89.14 89.97 60.10
Space group P1 (No. 1)
Symmetry-distinct sites (fractional):
Li 0.000 0.000 0.000 (multiplicity 1)
Li 0.000 0.001 0.503 (multiplicity 1)
Li 0.305 0.674 0.636 (multiplicity 1)
Li 0.313 0.675 0.132 (multiplicity 1)
Li 0.972 0.986 0.253 (multiplicity 1)
Fe 0.329 0.335 0.018 (multiplicity 1)
Fe 0.329 0.339 0.518 (multiplicity 1)
Fe 0.630 0.010 0.892 (multiplicity 1)
Fe 0.632 0.009 0.393 (multiplicity 1)
Fe 0.636 0.656 0.270 (multiplicity 1)
Fe 0.652 0.665 0.765 (multiplicity 1)
Fe 0.967 0.328 0.643 (multiplicity 1)
Fe 0.969 0.340 0.143 (multiplicity 1)
B 0.306 0.332 0.269 (multiplicity 1)
B 0.310 0.335 0.767 (multiplicity 1)
B 0.640 0.006 0.643 (multiplicity 1)
B 0.642 0.004 0.144 (multiplicity 1)
B 0.652 0.663 0.019 (multiplicity 1)
B 0.653 0.666 0.519 (multiplicity 1)
B 0.971 0.342 0.396 (multiplicity 1)
B 0.972 0.343 0.894 (multiplicity 1)
O 0.048 0.351 0.750 (multiplicity 1)
O 0.063 0.305 0.252 (multiplicity 1)
O 0.237 0.321 0.912 (multiplicity 1)
O 0.240 0.316 0.412 (multiplicity 1)
O 0.295 0.596 0.263 (multiplicity 1)
O 0.354 0.567 0.759 (multiplicity 1)
O 0.380 0.688 0.027 (multiplicity 1)
O 0.383 0.687 0.527 (multiplicity 1)
O 0.384 0.261 0.625 (multiplicity 1)
O 0.393 0.262 0.124 (multiplicity 1)
O 0.537 0.066 0.793 (multiplicity 1)
O 0.569 0.080 0.290 (multiplicity 1)
O 0.619 0.760 0.665 (multiplicity 1)
O 0.623 0.756 0.160 (multiplicity 1)
O 0.672 0.910 0.496 (multiplicity 1)
O 0.673 0.906 0.995 (multiplicity 1)
O 0.743 0.609 0.374 (multiplicity 1)
O 0.749 0.608 0.868 (multiplicity 1)
O 0.906 0.402 0.035 (multiplicity 1)
O 0.908 0.406 0.536 (multiplicity 1)
O 0.908 0.986 0.639 (multiplicity 1)
O 0.911 0.992 0.150 (multiplicity 1)
O 0.927 0.111 0.904 (multiplicity 1)
O 0.934 0.103 0.403 (multiplicity 1)

=====

# 2
LaZnCr2O6 | GGA+U | optimized geometry

volume: 11.23 A^3/atom
E: -0.526 Ry/atom
formation energy from the elements: -237 kJ per mole of atoms
magnetization: 5.001 μB per formula unit

Lattice parameters (Å, degrees): 7.796 5.404 5.333 90.00 90.00 90.00
Space group Pmn2_1 (No. 31)
Symmetry-distinct sites (fractional):
La 0.000 0.213 0.000 (multiplicity 2)
Zn 0.000 0.722 0.487 (multiplicity 2)
Cr 0.249 0.255 0.492 (multiplicity 4)
O 0.000 0.304 0.572 (multiplicity 2)
O 0.000 0.772 0.870 (multiplicity 2)
O 0.194 0.949 0.313 (multiplicity 4)
O 0.200 0.465 0.218 (multiplicity 4)

=====

# 3
V2CdP2O10 | GGA+U | optimized geometry

volume: 11.42 A^3/atom
E: -0.521 Ry/atom
formation energy from the elements: -239 kJ per mole of atoms
energy relative to the lowest polymorph listed for this composition: 3.0 meV/atom
magnetization: 2.000 μB per formula unit

Lattice parameters (Å, degrees): 11.605 16.233 7.273 90.00 90.00 90.00
Space group Fdd2 (No. 43)
Symmetry-distinct sites (fractional):
V 0.114 0.120 0.000 (multiplicity 16)
Cd 0.000 0.000 0.390 (multiplicity 8)
P 0.000 0.208 0.385 (multiplicity 16)
O 0.002 0.416 0.382 (multiplicity 16)
O 0.013 0.150 0.218 (multiplicity 16)
O 0.014 0.347 0.056 (multiplicity 16)
O 0.106 0.233 0.862 (multiplicity 16)
O 0.109 0.265 0.406 (multiplicity 16)

=====

# 4
ZnCrFeO4 | GGA+U | optimized geometry

volume: 11.03 A^3/atom
E: -0.486 Ry/atom
formation energy from the elements: -194 kJ per mole of atoms
magnetization: 2.000 μB per formula unit

Lattice parameters (Å, degrees): 6.013 6.038 8.506 90.00 90.00 90.00
Space group Imma (No. 74)
Symmetry-distinct sites (fractional):
Zn 0.000 0.250 0.127 (multiplicity 4)
Cr 0.000 0.000 0.500 (multiplicity 4)
Fe 0.250 0.250 0.750 (multiplicity 4)
O 0.000 0.021 0.738 (multiplicity 8)
O 0.227 0.250 0.510 (multiplicity 8)

=====

# 5
Na2CrAsCO7 | GGA+U | optimized geometry

volume: 13.73 A^3/atom
E: -0.483 Ry/atom
formation energy from the elements: -200 kJ per mole of atoms
magnetization: 3.002 μB per formula unit

Lattice parameters (Å, degrees): 5.358 6.742 9.127 90.00 92.23 90.00
Space group P2_1/m (No. 11)
Symmetry-distinct sites (fractional):
Na 0.236 0.002 0.278 (multiplicity 4)
Cr 0.211 0.250 0.845 (multiplicity 2)
As 0.285 0.750 0.925 (multiplicity 2)
C 0.278 0.250 0.579 (multiplicity 2)
O 0.056 0.250 0.637 (multiplicity 2)
O 0.146 0.750 0.091 (multiplicity 2)
O 0.196 0.548 0.821 (multiplicity 4)
O 0.311 0.250 0.443 (multiplicity 2)
O 0.392 0.250 0.045 (multiplicity 2)
O 0.463 0.250 0.680 (multiplicity 2)